Entry 1:
## NbPO5 (PBE)

Data for a relaxed structure of NbPO5.

Lattice parameters (Å, degrees): 6.513 6.513 4.213 90.00 90.00 90.00
Atoms (fractional coordinates):
Nb  0.500  0.000  0.223
Nb  0.000  0.500  0.777
P  0.000  0.000  0.500
P  0.500  0.500  0.500
O  0.000  0.807  0.710
O  0.000  0.193  0.710
O  0.000  0.500  0.200
O  0.500  0.000  0.800
O  0.693  0.500  0.710
O  0.307  0.500  0.710
O  0.193  0.000  0.290
O  0.500  0.307  0.290
O  0.500  0.693  0.290
O  0.807  0.000  0.290

Summary:
The calculation puts the energy relative to the lowest polymorph listed for this composition at 23 meV per atom. The magnetization comes out at 0.00 μB per atom. Its space group is P4/nmm.


Entry 2:
## La7Ru3 (PBE)

Data for a relaxed structure of La7Ru3.

Lattice parameters (Å, degrees): 6.760 7.414 23.776 90.00 90.00 90.00
Atoms (fractional coordinates):
La  0.318  0.819  0.175
La  0.182  0.319  0.325
La  0.682  0.181  0.675
La  0.818  0.681  0.825
La  0.682  0.181  0.825
La  0.818  0.681  0.675
La  0.318  0.819  0.325
La  0.182  0.319  0.175
La  0.319  0.830  0.024
La  0.181  0.330  0.476
La  0.681  0.170  0.524
La  0.819  0.670  0.976
La  0.681  0.170  0.976
La  0.819  0.670  0.524
La  0.319  0.830  0.476
La  0.181  0.330  0.024
La  0.857  0.683  0.250
La  0.643  0.183  0.250
La  0.143  0.317  0.750
La  0.357  0.817  0.750
La  0.851  0.950  0.115
La  0.649  0.450  0.385
La  0.149  0.050  0.615
La  0.351  0.550  0.885
La  0.149  0.050  0.885
La  0.351  0.550  0.615
La  0.851  0.950  0.385
La  0.649  0.450  0.115
Ru  0.471  0.519  0.250
Ru  0.029  0.019  0.250
Ru  0.529  0.481  0.750
Ru  0.971  0.981  0.750
Ru  0.029  0.621  0.095
Ru  0.471  0.121  0.405
Ru  0.971  0.379  0.595
Ru  0.529  0.879  0.905
Ru  0.971  0.379  0.905
Ru  0.529  0.879  0.595
Ru  0.029  0.621  0.405
Ru  0.471  0.121  0.095

Summary:
The magnetization comes out at 0.00 μB per atom. Its space group is Pnma.


Entry 3:
## Li3Hg (PBE)

Data for a relaxed structure of Li3Hg.

Lattice parameters (Å, degrees): 5.876 5.876 4.770 90.00 90.00 120.00
Atoms (fractional coordinates):
Li  0.171  0.341  0.250
Li  0.659  0.829  0.250
Li  0.171  0.829  0.250
Li  0.829  0.659  0.750
Li  0.341  0.171  0.750
Li  0.829  0.171  0.750
Hg  0.333  0.667  0.750
Hg  0.667  0.333  0.250

Summary:
The calculation puts the energy relative to the lowest polymorph listed for this composition at 11 meV per atom. Its space group is P6_3/mmc.


Entry 4:
## VPt2 (PBE)

Data for a relaxed structure of VPt2.

Lattice parameters (Å, degrees): 4.830 4.830 4.830 147.00 133.32 58.35
Atoms (fractional coordinates):
V  0.000  0.000  0.000
Pt  0.660  0.660  0.000
Pt  0.340  0.340  0.000

Summary:
Its space group is Immm.


Entry 5:
## CeSe2 (PBE)

Data for a relaxed structure of CeSe2.

Lattice parameters (Å, degrees): 4.212 8.332 8.417 90.00 90.00 90.00
Atoms (fractional coordinates):
Ce  0.754  0.270  0.375
Ce  0.254  0.730  0.125
Ce  0.246  0.730  0.625
Ce  0.746  0.270  0.875
Se  0.741  0.000  0.625
Se  0.241  0.000  0.875
Se  0.259  0.000  0.375
Se  0.759  0.000  0.125
Se  0.749  0.636  0.875
Se  0.249  0.364  0.625
Se  0.251  0.364  0.125
Se  0.751  0.636  0.375

Summary:
The magnetization comes out at 0.28 μB per atom. Its space group is P2_1/c.


Entry 6:
## YCuPb (PBE)

Data for a relaxed structure of YCuPb.

Lattice parameters (Å, degrees): 4.634 4.634 7.396 90.00 90.00 120.00
Atoms (fractional coordinates):
Y  0.000  0.000  0.999
Y  0.000  0.000  0.499
Cu  0.667  0.333  0.323
Cu  0.333  0.667  0.823
Pb  0.333  0.667  0.229
Pb  0.667  0.333  0.729

Summary:
Its space group is P6_3mc.


Entry 7:
## ZnC2O6 (PBE)

Data for a relaxed structure of ZnC2O6.

Lattice parameters (Å, degrees): 5.410 5.813 8.217 83.70 70.78 62.27
Atoms (fractional coordinates):
Zn  0.087  0.750  0.750
Zn  0.913  0.250  0.250
C  0.536  0.751  0.852
C  0.640  0.749  0.648
C  0.464  0.249  0.148
C  0.360  0.251  0.352
O  0.710  0.744  0.925
O  0.880  0.756  0.575
O  0.290  0.256  0.075
O  0.120  0.244  0.425
O  0.286  0.762  0.926
O  0.474  0.738  0.574
O  0.714  0.238  0.074
O  0.526  0.262  0.426
O  0.284  0.349  0.741
O  0.874  0.151  0.759
O  0.716  0.651  0.259
O  0.126  0.849  0.241

Summary:
The magnetization comes out at 0.44 μB per atom. Its space group is C2/c.


Entry 8:
## ScBr2 (PBE)

Data for a relaxed structure of ScBr2.

Lattice parameters (Å, degrees): 6.756 6.756 3.767 90.00 90.00 90.00
Atoms (fractional coordinates):
Sc  0.000  0.000  0.000
Sc  0.500  0.500  0.500
Br  0.291  0.291  0.000
Br  0.709  0.709  0.000
Br  0.209  0.791  0.500
Br  0.791  0.209  0.500

Summary:
Its space group is P4_2/mnm.


Let's list uncorrected energy in order: -8.1672, -6.5183, -1.7770, -7.6190, -5.9013, -5.1642, -5.8766, -4.6427 eV per atom.
Let's list formation enthalpy at 0 K in order: -2.907, -0.281, -0.269, -0.544, -1.908, -0.405, -0.845, -1.797 eV per atom.